ZrCuGe: relaxed, r2SCAN.

POSCAR file:
```
ZrCuGe
1.0
6.559 0.000 0.000
0.000 3.993 0.000
0.000 0.000 7.375
Zr Cu Ge
4 4 4
direct
0.009 0.250 0.196
0.491 0.750 0.696
0.509 0.250 0.304
0.991 0.750 0.804
0.174 0.250 0.579
0.326 0.750 0.079
0.674 0.250 0.921
0.826 0.750 0.421
0.221 0.750 0.401
0.279 0.250 0.901
0.721 0.750 0.099
0.779 0.250 0.599
```

Output
Space-group type = Pnma, No. 62
Total magnetic moment = 0.00 μB per formula unit
Energy of formation = -0.64 eV per atom

=====

HfSiSe: relaxed, r2SCAN.

POSCAR file:
```
HfSiSe
1.0
3.559 0.000 0.000
0.000 3.559 0.000
0.000 0.000 8.708
Hf Si Se
2 2 2
direct
0.250 0.250 0.244
0.750 0.750 0.756
0.250 0.750 0.000
0.750 0.250 0.000
0.250 0.250 0.632
0.750 0.750 0.368
```

Output
Space-group type = P4/nmm, No. 129
Total magnetic moment = 0.00 μB per formula unit
Energy of formation = -1.10 eV per atom

=====

CaEr2S4: relaxed, r2SCAN.

POSCAR file:
```
CaEr2S4
1.0
12.866 0.000 0.000
0.000 3.861 0.000
0.000 0.000 13.040
Ca Er S
4 8 16
direct
0.131 0.250 0.082
0.369 0.750 0.582
0.631 0.250 0.418
0.869 0.750 0.918
0.107 0.750 0.416
0.147 0.750 0.797
0.353 0.250 0.297
0.393 0.250 0.916
0.607 0.750 0.084
0.647 0.750 0.703
0.853 0.250 0.203
0.893 0.250 0.584
0.030 0.250 0.882
0.034 0.750 0.617
0.217 0.750 0.238
0.242 0.250 0.473
0.258 0.750 0.973
0.283 0.250 0.738
0.466 0.250 0.117
0.470 0.750 0.382
0.530 0.250 0.618
0.534 0.750 0.883
0.717 0.750 0.262
0.742 0.250 0.027
0.758 0.750 0.527
0.783 0.250 0.762
0.966 0.250 0.383
0.970 0.750 0.118
```

Output
Space-group type = Pnma, No. 62
Total magnetic moment = 0.00 μB per formula unit
Energy of formation = -2.40 eV per atom

=====

La9Al5Se21: relaxed, r2SCAN.

POSCAR file:
```
La9Al5Se21
1.0
9.132 5.273 6.459
-9.132 5.273 6.459
0.000 -10.545 6.459
La Al Se
18 10 42
direct
0.015 0.799 0.645
0.025 0.177 0.798
0.122 0.349 0.494
0.128 0.988 0.361
0.177 0.798 0.025
0.321 0.701 0.471
0.349 0.494 0.122
0.361 0.128 0.988
0.454 0.682 0.829
0.471 0.321 0.701
0.494 0.122 0.349
0.645 0.015 0.799
0.682 0.829 0.454
0.701 0.471 0.321
0.798 0.025 0.177
0.799 0.645 0.015
0.829 0.454 0.682
0.988 0.361 0.128
0.102 0.102 0.102
0.128 0.472 0.794
0.294 0.967 0.634
0.415 0.415 0.415
0.472 0.794 0.128
0.600 0.600 0.600
0.634 0.294 0.967
0.794 0.128 0.472
0.917 0.917 0.917
0.967 0.634 0.294
0.002 0.912 0.135
0.032 0.604 0.120
0.039 0.187 0.280
0.061 0.547 0.635
0.087 0.755 0.418
0.120 0.032 0.604
0.135 0.002 0.912
0.187 0.280 0.039
0.212 0.316 0.728
0.243 0.479 0.340
0.252 0.587 0.920
0.258 0.792 0.696
0.280 0.039 0.187
0.316 0.728 0.212
0.340 0.243 0.479
0.354 0.942 0.456
0.395 0.528 0.617
0.409 0.878 0.970
0.418 0.087 0.755
0.456 0.354 0.942
0.479 0.340 0.243
0.528 0.617 0.395
0.547 0.635 0.061
0.554 0.795 0.649
0.587 0.920 0.252
0.604 0.120 0.032
0.617 0.395 0.528
0.635 0.061 0.547
0.649 0.554 0.795
0.696 0.258 0.792
0.728 0.212 0.316
0.733 0.867 0.969
0.755 0.418 0.087
0.792 0.696 0.258
0.795 0.649 0.554
0.867 0.969 0.733
0.878 0.970 0.409
0.912 0.135 0.002
0.920 0.252 0.587
0.942 0.456 0.354
0.969 0.733 0.867
0.970 0.409 0.878
```

Output
Space-group type = R3, No. 146
Total magnetic moment = 0.00 μB per formula unit
Energy of formation = -1.90 eV per atom

=====

NdTm3S6: relaxed, r2SCAN.

POSCAR file:
```
NdTm3S6
1.0
10.953 0.000 0.000
0.000 3.937 0.000
-3.647 0.000 10.609
Nd Tm S
2 6 12
direct
0.050 0.250 0.196
0.950 0.750 0.804
0.161 0.250 0.587
0.320 0.750 0.999
0.443 0.250 0.333
0.557 0.750 0.667
0.680 0.250 0.001
0.839 0.750 0.413
0.082 0.750 0.408
0.119 0.250 0.964
0.198 0.750 0.749
0.267 0.750 0.229
0.393 0.250 0.557
0.478 0.250 0.112
0.522 0.750 0.888
0.607 0.750 0.443
0.733 0.250 0.771
0.802 0.250 0.251
0.881 0.750 0.036
0.918 0.250 0.592
```

Output
Space-group type = P2_1/m, No. 11
Total magnetic moment = 0.00 μB per formula unit
Energy of formation = -2.40 eV per atom

=====

Na2CaMgS3O12: relaxed, r2SCAN.

POSCAR file:
```
Na2CaMgS3O12
1.0
8.820 0.000 0.000
-4.363 7.710 0.000
-0.082 -0.078 22.004
Na Ca Mg S O
12 6 6 18 72
direct
0.000 0.000 0.000
0.005 0.640 0.748
0.012 0.298 0.487
0.319 0.646 0.335
0.326 0.955 0.842
0.337 0.302 0.581
0.343 0.315 0.078
0.647 0.965 0.924
0.661 0.310 0.664
0.669 0.973 0.411
0.680 0.637 0.156
0.986 0.638 0.248
0.332 0.305 0.741
0.350 0.311 0.235
0.651 0.974 0.258
0.664 0.965 0.768
0.676 0.968 0.564
0.987 0.635 0.586
0.008 0.643 0.096
0.330 0.316 0.932
0.335 0.303 0.421
0.672 0.987 0.069
0.993 0.635 0.903
0.997 0.643 0.401
0.011 0.997 0.845
0.016 0.303 0.334
0.028 0.965 0.494
0.299 0.941 0.998
0.307 0.981 0.328
0.315 0.609 0.838
0.319 0.643 0.487
0.350 0.957 0.675
0.371 0.683 0.169
0.629 0.313 0.831
0.636 0.601 0.325
0.663 0.650 0.664
0.688 0.300 0.162
0.696 0.345 0.496
0.703 0.644 0.002
0.975 0.275 0.652
0.984 0.984 0.157
0.999 0.342 0.000
0.009 0.441 0.054
0.021 0.834 0.841
0.027 0.898 0.555
0.028 0.850 0.448
0.091 0.097 0.790
0.107 0.094 0.900
0.109 0.296 0.389
0.118 0.319 0.280
0.141 0.283 0.664
0.148 0.807 0.332
0.154 0.624 0.838
0.155 0.317 0.998
0.160 0.133 0.157
0.162 0.853 0.044
0.181 0.807 0.663
0.186 0.140 0.490
0.218 0.685 0.146
0.223 0.635 0.542
0.224 0.651 0.433
0.236 0.849 0.940
0.304 0.098 0.374
0.313 0.504 0.889
0.314 0.049 0.267
0.325 0.536 0.780
0.329 0.121 0.993
0.333 0.484 0.484
0.348 0.121 0.665
0.366 0.517 0.156
0.385 0.712 0.235
0.398 0.951 0.740
0.459 0.956 0.338
0.460 0.462 0.345
0.461 0.282 0.858
0.462 0.945 0.015
0.464 0.787 0.845
0.487 0.961 0.636
0.493 0.796 0.487
0.505 0.477 0.662
0.535 0.824 0.142
0.537 0.327 0.153
0.542 0.485 0.985
0.563 0.356 0.460
0.613 0.331 0.765
0.641 0.769 0.334
0.646 0.158 0.843
0.648 0.570 0.259
0.660 0.746 0.717
0.670 0.791 0.008
0.675 0.740 0.607
0.678 0.226 0.222
0.681 0.378 0.561
0.687 0.176 0.488
0.691 0.189 0.114
0.769 0.616 0.060
0.774 0.595 0.359
0.777 0.470 0.854
0.815 0.621 0.669
0.830 0.957 0.850
0.833 0.142 0.689
0.841 0.694 0.956
0.844 0.149 0.333
0.844 0.164 0.001
0.847 0.473 0.161
0.875 0.482 0.477
0.875 0.990 0.486
0.883 0.983 0.209
0.895 0.988 0.100
0.929 0.232 0.587
0.983 0.443 0.665
0.988 0.430 0.945
0.989 0.819 0.158
0.998 0.461 0.338
```

Output
Space-group type = P1, No. 1
Total magnetic moment = 0.00 μB per formula unit
Energy of formation = -2.16 eV per atom

=====

CeCuSi: relaxed, r2SCAN.

POSCAR file:
```
CeCuSi
1.0
4.104 0.000 0.000
-2.052 3.554 0.000
0.000 0.000 4.121
Ce Cu Si
1 1 1
direct
0.000 0.000 0.000
0.333 0.667 0.500
0.667 0.333 0.500
```

Output
Space-group type = P-6m2, No. 187
Total magnetic moment = 1.05 μB per formula unit
Energy of formation = -0.62 eV per atom

=====

TmAu2: relaxed, r2SCAN.

POSCAR file:
```
TmAu2
1.0
-1.835 1.835 4.470
1.835 -1.835 4.470
1.835 1.835 -4.470
Tm Au
1 2
direct
0.000 0.000 0.000
0.335 0.335 0.000
0.665 0.665 0.000
```

Output
Space-group type = I4/mmm, No. 139
Total magnetic moment = 0.00 μB per formula unit
Energy of formation = -0.97 eV per atom

=====

Ca2Zn3Au9: relaxed, r2SCAN.

POSCAR file:
```
Ca2Zn3Au9
1.0
2.651 -4.976 0.000
2.651 4.976 0.000
0.000 0.000 9.886
Ca Zn Au
2 3 9
direct
0.000 0.500 0.244
0.500 0.000 0.756
0.000 0.000 0.500
0.500 0.500 0.000
0.500 0.500 0.500
0.000 0.000 0.000
0.000 0.500 0.544
0.000 0.500 0.942
0.203 0.302 0.741
0.302 0.203 0.259
0.500 0.000 0.058
0.500 0.000 0.456
0.698 0.797 0.259
0.797 0.698 0.741
```

Output
Space-group type = C222, No. 21
Total magnetic moment = 0.00 μB per formula unit
Energy of formation = -0.49 eV per atom

=====

Ho4Al24Pt9: relaxed, r2SCAN.

POSCAR file:
```
Ho4Al24Pt9
1.0
7.476 0.000 0.000
3.725 6.484 0.000
1.242 2.145 12.838
Ho Al Pt
4 24 9
direct
0.001 0.232 0.308
0.332 0.562 0.308
0.668 0.438 0.692
0.999 0.768 0.692
0.000 0.148 0.555
0.000 0.314 0.059
0.000 0.686 0.941
0.000 0.852 0.445
0.007 0.056 0.829
0.131 0.308 0.685
0.333 0.021 0.939
0.333 0.182 0.454
0.333 0.647 0.059
0.334 0.482 0.555
0.335 0.383 0.829
0.336 0.898 0.683
0.340 0.270 0.169
0.459 0.897 0.316
0.541 0.103 0.684
0.660 0.730 0.831
0.664 0.102 0.317
0.665 0.617 0.171
0.666 0.518 0.445
0.667 0.353 0.941
0.667 0.818 0.546
0.667 0.979 0.061
0.869 0.692 0.315
0.993 0.944 0.171
0.000 0.500 0.500
0.008 0.612 0.139
0.325 0.954 0.137
0.328 0.828 0.500
0.333 0.705 0.861
0.667 0.295 0.139
0.672 0.172 0.500
0.675 0.046 0.863
0.992 0.388 0.861
```

Output
Space-group type = P-1, No. 2
Total magnetic moment = 0.00 μB per formula unit
Energy of formation = -1.01 eV per atom

=====

Mn3CrAs4: relaxed, r2SCAN.

POSCAR file:
```
Mn3CrAs4
1.0
5.823 0.000 0.000
0.000 3.724 0.000
-0.017 0.000 6.445
Mn Cr As
3 1 4
direct
0.000 0.000 0.000
0.002 0.500 0.499
0.500 0.000 0.999
0.501 0.500 0.501
0.253 0.000 0.334
0.255 0.500 0.833
0.745 0.500 0.167
0.749 0.000 0.666
```

Output
Space-group type = Pm, No. 6
Total magnetic moment = 14.37 μB per formula unit
Energy of formation = -0.49 eV per atom

=====

HoTlRh2: relaxed, r2SCAN.

POSCAR file:
```
HoTlRh2
1.0
0.000 3.311 3.311
3.311 0.000 3.311
3.311 3.311 0.000
Ho Tl Rh
1 1 2
direct
0.000 0.000 0.000
0.500 0.500 0.500
0.250 0.250 0.250
0.750 0.750 0.750
```

Output
Space-group type = Fm-3m, No. 225
Total magnetic moment = 0.00 μB per formula unit
Energy of formation = -0.62 eV per atom